An optimized crystal structure of Li2Bi2P2O9. Source: the Materials Project database, functional PBE.

Unit cell a=5.6949 b=9.3107 c=7.8964 alpha=90.00 beta=93.03 gamma=90.00
Space group P2_1 (No. 4)
One atom of each set of equivalent atoms:
Li1 0.0284 0.0000 0.1054 x2
Li2 0.1034 0.9602 0.6807 x2
Bi1 0.3914 0.6609 0.0756 x2
Bi2 0.4716 0.5897 0.6214 x2
P1 0.0232 0.7504 0.3584 x2
P2 0.3167 0.3294 0.1595 x2
O1 0.0163 0.8791 0.4743 x2
O2 0.0955 0.8021 0.1764 x2
O3 0.1150 0.4398 0.1391 x2
O4 0.2051 0.1599 0.6570 x2
O5 0.2351 0.6450 0.4104 x2
O6 0.2398 0.6107 0.8242 x2
O7 0.2555 0.1713 0.1100 x2
O8 0.4318 0.3229 0.3445 x2
O9 0.4870 0.8809 0.9614 x2

Values from the calculation:
- ΔH_f (0 K) (meV/atom) = -2362

An optimized crystal structure of Li3BiP2O8. Source: the Materials Project database, functional PBE.

Unit cell a=8.6889 b=5.7416 c=6.3810 alpha=90.00 beta=92.16 gamma=90.00
Space group C2/m (No. 12)
One atom of each set of equivalent atoms:
Li1 0.0000 0.0000 0.0000 x2
Li2 0.1593 0.5000 0.7952 x4
Bi1 0.0000 0.0000 0.5000 x2
P1 0.1437 0.5000 0.2552 x4
O1 0.0322 0.2841 0.2334 x8
O2 0.2229 0.5000 0.4816 x4
O3 0.2362 0.0000 0.9130 x4

Values from the calculation:
- ΔH_f (0 K) (meV/atom) = -2541
- ΔE to the lowest computed polymorph (meV/atom) = 22.5

An optimized crystal structure of Li3Bi3P4O16. Source: the Materials Project database, functional PBE.

Unit cell a=9.1806 b=5.4216 c=17.1213 alpha=90.00 beta=119.97 gamma=90.00
Space group P2_1/c (No. 14)
One atom of each set of equivalent atoms:
Li1 0.0000 0.0000 0.0000 x2
Li2 0.1172 0.0758 0.2860 x4
Bi1 0.4035 0.5389 0.6331 x4
Bi2 0.5000 0.0000 0.5000 x2
P1 0.2298 0.5389 0.3906 x4
P2 0.2652 0.0335 0.6355 x4
O1 0.0815 0.0735 0.8075 x4
O2 0.1306 0.2114 0.5744 x4
O3 0.2083 0.5438 0.4748 x4
O4 0.2132 0.7291 0.1495 x4
O5 0.2723 0.6944 0.8716 x4
O6 0.3776 0.1739 0.7274 x4
O7 0.3911 0.1284 0.9150 x4
O8 0.3930 0.5331 0.0997 x4

Values from the calculation:
- ΔH_f (0 K) (meV/atom) = -2421

An optimized crystal structure of LiBiP4O12. Source: the Materials Project database, functional PBE.

Unit cell a=13.5059 b=8.1139 c=9.9438 alpha=90.00 beta=90.00 gamma=90.00
Space group Pbcn (No. 60)
One atom of each set of equivalent atoms:
Li1 0.0000 0.0583 0.2500 x4
Bi1 0.0000 0.4869 0.7500 x4
P1 0.1426 0.0619 0.5105 x8
P2 0.1508 0.3150 0.0160 x8
O1 0.0705 0.0753 0.6235 x8
O2 0.0718 0.3219 0.1273 x8
O3 0.1246 0.4104 0.8902 x8
O4 0.1267 0.1423 0.3787 x8
O5 0.1720 0.1315 0.9789 x8
O6 0.2503 0.1155 0.5788 x8

Values from the calculation:
- ΔH_f (0 K) (meV/atom) = -2473
- ΔE to the lowest computed polymorph (meV/atom) = 92.3

An optimized crystal structure of Li5Bi2P5O18. Source: the Materials Project database, functional PBE.

Unit cell a=6.7903 b=9.5331 c=11.2393 alpha=97.37 beta=91.35 gamma=91.68
Space group P-1 (No. 2)
One atom of each set of equivalent atoms:
Li1 0.0167 0.4567 0.1357 x2
Li2 0.1305 0.7243 0.6632 x2
Li3 0.1796 0.3896 0.6462 x2
Li4 0.3379 0.8745 0.8526 x2
Li5 0.4060 0.2253 0.4039 x2
Bi1 0.2226 0.8654 0.3927 x2
Bi2 0.3377 0.2637 0.9374 x2
P1 0.1477 0.0794 0.1654 x2
P2 0.1760 0.7671 0.0917 x2
P3 0.2191 0.5056 0.4036 x2
P4 0.2771 0.0790 0.6588 x2
P5 0.4859 0.5678 0.7836 x2
O1 0.0105 0.6588 0.0437 x2
O2 0.0322 0.8306 0.8280 x2
O3 0.0409 0.4742 0.3165 x2
O4 0.0654 0.9159 0.1162 x2
O5 0.1163 0.1928 0.6689 x2
O6 0.1883 0.9323 0.6027 x2
O7 0.2085 0.6536 0.4793 x2
O8 0.2492 0.0743 0.2890 x2
O9 0.2553 0.3868 0.4786 x2
O10 0.2706 0.7350 0.2097 x2
O11 0.3004 0.1080 0.0709 x2
O12 0.3101 0.4738 0.8133 x2
O13 0.3407 0.7789 0.0013 x2
O14 0.3515 0.4152 0.1160 x2
O15 0.3627 0.0637 0.7856 x2
O16 0.4166 0.5257 0.3284 x2
O17 0.4211 0.7045 0.7377 x2
O18 0.4369 0.1296 0.5738 x2

Values from the calculation:
- ΔH_f (0 K) (meV/atom) = -2582
- ΔE to the lowest computed polymorph (meV/atom) = 0.0

An optimized crystal structure of LiBiP4O12. Source: the Materials Project database, functional PBE.

Unit cell a=7.2208 b=8.5436 c=7.9908 alpha=90.00 beta=92.27 gamma=90.00
Space group P2_1 (No. 4)
One atom of each set of equivalent atoms:
Li1 0.1657 0.0000 0.3856 x2
Bi1 0.2709 0.3772 0.7684 x2
P1 0.0666 0.0065 0.9057 x2
P2 0.1232 0.6351 0.4013 x2
P3 0.3989 0.7989 0.8870 x2
P4 0.4857 0.0191 0.6001 x2
O1 0.0498 0.5043 0.2712 x2
O2 0.0589 0.7959 0.3478 x2
O3 0.0659 0.4787 0.9577 x2
O4 0.0814 0.5793 0.5740 x2
O5 0.1835 0.8488 0.8746 x2
O6 0.1898 0.1471 0.9248 x2
O7 0.3113 0.1172 0.5903 x2
O8 0.3409 0.6334 0.3743 x2
O9 0.4130 0.6396 0.8104 x2
O10 0.4696 0.8262 0.0647 x2
O11 0.4944 0.4123 0.5471 x2
O12 0.4954 0.4263 0.2247 x2

Values from the calculation:
- ΔH_f (0 K) (meV/atom) = -2525
- ΔE to the lowest computed polymorph (meV/atom) = 40.7

An optimized crystal structure of LiBiP4O12. Source: the Materials Project database, functional PBE.

Unit cell a=10.4890 b=11.8492 c=17.5990 alpha=90.00 beta=90.00 gamma=90.00
Space group C222_1 (No. 20)
One atom of each set of equivalent atoms:
Li1 0.1484 0.0570 0.3580 x8
Bi1 0.2174 0.1948 0.6400 x8
P1 0.0000 0.3599 0.2500 x4
P2 0.0484 0.2623 0.9908 x8
P3 0.1105 0.1447 0.8450 x8
P4 0.1509 0.5000 0.0000 x4
P5 0.1975 0.4821 0.6930 x8
O1 0.0169 0.0843 0.6491 x8
O2 0.0505 0.3998 0.9885 x8
O3 0.0675 0.4445 0.3085 x8
O4 0.0869 0.2236 0.5178 x8
O5 0.0950 0.2904 0.2072 x8
O6 0.1243 0.2246 0.0587 x8
O7 0.1286 0.2324 0.9145 x8
O8 0.1475 0.2081 0.7752 x8
O9 0.1598 0.3743 0.6542 x8
O10 0.2165 0.0507 0.8670 x8
O11 0.2287 0.4860 0.0718 x8
O12 0.2414 0.0194 0.2697 x8

Values from the calculation:
- ΔH_f (0 K) (meV/atom) = -2520
- ΔE to the lowest computed polymorph (meV/atom) = 45.5